This record from the Materials Project database describes Ba6Ti5PtO18 after structural relaxation. The functional is GGA-PBE.

## Properties
Formation energy (eV per atom): -3.23
Crystal system: trigonal
Symmetry: P3m1, No. 156
E_tot (eV per cell): -230.80

abc: 5.7913 5.7913 14.2470
angles: 90.00 90.00 120.00
Last column: nearest neighbours and their distance in Å.
Fractional coordinates of all 30 atoms:
1 Ba 0.0000 0.0000 0.0000  12 O 2.90-2.95
2 Ba 0.0000 0.0000 0.3076  12 O 2.80-3.06
3 Ba 0.3333 0.6667 0.1536  12 O 2.86-2.98
4 Ba 0.3333 0.6667 0.6536  12 O 2.90-3.01
5 Ba 0.6667 0.3333 0.4967  12 O 2.90-2.94
6 Ba 0.6667 0.3333 0.8092  12 O 2.84-3.08
7 Ti 0.0000 0.0000 0.5515  3 O 1.89
8 Ti 0.3333 0.6667 0.3978  6 O 1.92-2.11
9 Ti 0.3333 0.6667 0.9007  6 O 1.90-2.11
10 Ti 0.6667 0.3333 0.0541  3 O 1.89
11 Ti 0.6667 0.3333 0.2441  6 O 1.92-2.08
12 Pt 0.0000 0.0000 0.7484  6 O 2.01-2.09
13 O 0.0058 0.5029 0.3282  2 Ti 1.92-2.08
14 O 0.1659 0.3319 0.4879  2 Ti 1.89-2.11
15 O 0.1659 0.8341 0.4879  2 Ti 1.89-2.11
16 O 0.1711 0.3422 0.8316  1 Ti 1.90, 1 Pt 2.09
17 O 0.1711 0.8289 0.8316  1 Ti 1.90, 1 Pt 2.09
18 O 0.3025 0.1512 0.6563  1 Pt 2.01, 1 Ti 2.13
19 O 0.3682 0.1841 0.1600  2 Ti 1.92-2.12
20 O 0.4971 0.5029 0.3282  2 Ti 1.92-2.08
21 O 0.4971 0.9942 0.3282  2 Ti 1.92-2.08
22 O 0.5005 0.0011 0.9910  2 Ti 1.89-2.11
23 O 0.5005 0.4995 0.9910  2 Ti 1.89-2.11
24 O 0.6578 0.8289 0.8316  1 Ti 1.90, 1 Pt 2.09
25 O 0.6681 0.8341 0.4879  2 Ti 1.89-2.11
26 O 0.8159 0.1841 0.1600  2 Ti 1.92-2.12
27 O 0.8159 0.6318 0.1600  2 Ti 1.92-2.12
28 O 0.8488 0.1512 0.6563  1 Pt 2.01, 1 Ti 2.13
29 O 0.8488 0.6975 0.6563  1 Pt 2.01, 1 Ti 2.13
30 O 0.9989 0.4995 0.9910  2 Ti 1.89-2.11